Record 1
Pm2AgRh: relaxed, r²SCAN.

Summary:
- V: 23.27 Å³ per atom

abc: 5.087 5.087 5.087
angles: 60.00 60.00 60.00
Fractional coordinates of all 4 atoms:
Pm: 0.000 0.000 0.000
Pm: 0.500 0.500 0.500
Ag: 0.250 0.250 0.250
Rh: 0.750 0.750 0.750

=====

Record 2
LaAl3Au: relaxed, r²SCAN.

Summary:
- V: 20.79 Å³ per atom

abc: 6.272 6.272 6.272
angles: 139.29 139.29 58.93
Fractional coordinates of all 5 atoms:
La: 0.989 0.989 0.000
Al: 0.398 0.398 0.000
Al: 0.250 0.750 0.500
Al: 0.750 0.250 0.500
Au: 0.628 0.628 0.000

=====

Record 3
Er4Ni2C5: relaxed, r²SCAN.

Summary:
- V: 13.60 Å³ per atom

abc: 3.574 3.653 11.458
angles: 90.00 90.00 90.00
Fractional coordinates of all 11 atoms:
Er: 0.500 0.503 0.204
Er: 0.500 0.503 0.796
Er: 0.500 0.210 0.500
Er: 0.000 0.000 0.000
Ni: 0.000 0.699 0.385
Ni: 0.000 0.699 0.615
C: 0.000 0.999 0.229
C: 0.000 0.999 0.771
C: 0.000 0.198 0.333
C: 0.000 0.198 0.667
C: 0.500 0.493 0.000

=====

ΔE_f in meV/atom, matching the order above: -515 -734 -519